No. 1
## U2I2O (PBE)

Data for a relaxed U2I2O crystal.

Calculated values
Formation energy   -0.552 eV/atom
Spin magnetization   1.272 μB per atom
Space group   No. 123
DFT total energy   -6.531 eV per atom
Theoretical density   6.12 g cm⁻³

abc: 3.8363 3.8363 13.7491
angles: 90.00 90.00 90.00
With the nearest neighbours (Å) after each atom.
Positions (direct):
U 0.5000 0.5000 0.1499  1 O 2.06
U 0.5000 0.5000 0.8501  1 O 2.06
I 0.5000 0.5000 0.3597  1 U 2.89
I 0.5000 0.5000 0.6403  1 U 2.89
O 0.5000 0.5000 0.0000  2 U 2.06

No. 2
## Sr5U3O14 (PBE)

Data for a relaxed Sr5U3O14 crystal.

Calculated values
Formation energy   -3.630 eV/atom
Spin magnetization   0.000 μB per atom
Space group   No. 61
DFT total energy   -8.265 eV per atom
Theoretical density   6.34 g cm⁻³

abc: 11.2153 11.3336 11.3345
angles: 90.00 90.00 90.00
With the nearest neighbours (Å) after each atom.
Positions (direct):
O 0.5821 0.3693 0.8884  2 U 2.15-2.23
O 0.6128 0.6610 0.6280  1 U 2.08
O 0.0821 0.1307 0.1116  2 U 2.15-2.23
O 0.8758 0.1465 0.3214  1 U 2.04
O 0.8404 0.0250 0.0670  1 U 1.96
O 0.6249 0.3638 0.3278  1 U 2.05
O 0.8404 0.4750 0.5670  1 U 1.96
O 0.8758 0.3535 0.8214  1 U 2.04
O 0.3872 0.1610 0.8720  1 U 2.08
O 0.3872 0.3390 0.3720  1 U 2.08
O 0.1125 0.3321 0.8628  1 U 2.07
O 0.0821 0.3693 0.6116  2 U 2.15-2.23
O 0.5673 0.6217 0.8713  2 U 2.14-2.18
O 0.3875 0.6679 0.3628  1 U 2.07
O 0.1249 0.1362 0.6722  1 U 2.05
O 0.6242 0.6465 0.3214  1 U 2.04
O 0.8875 0.6679 0.1372  1 U 2.07
O 0.5821 0.1307 0.3884  2 U 2.15-2.23
O 0.8872 0.1610 0.6280  1 U 2.08
O 0.3875 0.8321 0.8628  1 U 2.07
O 0.1242 0.8535 0.6786  1 U 2.04
O 0.8751 0.6362 0.8278  1 U 2.05
O 0.3404 0.0250 0.4330  1 U 1.96
O 0.3751 0.6362 0.6722  1 U 2.05
O 0.8875 0.8321 0.6372  1 U 2.07
O 0.3758 0.1465 0.1786  1 U 2.04
O 0.9327 0.3783 0.3713  2 U 2.14-2.18
O 0.0673 0.8783 0.1287  2 U 2.14-2.18
O 0.6242 0.8535 0.8214  1 U 2.04
O 0.4327 0.1217 0.6287  2 U 2.14-2.18
O 0.1128 0.8390 0.3720  1 U 2.08
O 0.4327 0.3783 0.1287  2 U 2.14-2.18
O 0.9179 0.8693 0.8884  2 U 2.15-2.23
O 0.6125 0.3321 0.6372  1 U 2.07
O 0.6596 0.5250 0.0670  1 U 1.96
O 0.8751 0.8638 0.3278  1 U 2.05
O 0.8872 0.3390 0.1280  1 U 2.08
O 0.6596 0.9750 0.5670  1 U 1.96
O 0.1249 0.3638 0.1722  1 U 2.05
O 0.3404 0.4750 0.9330  1 U 1.96
O 0.3758 0.3535 0.6786  1 U 2.04
O 0.6128 0.8390 0.1280  1 U 2.08
O 0.1128 0.6610 0.8720  1 U 2.08
O 0.6249 0.1362 0.8278  1 U 2.05
O 0.3751 0.8638 0.1722  1 U 2.05
O 0.0673 0.6217 0.6287  2 U 2.14-2.18
O 0.1242 0.6465 0.1786  1 U 2.04
O 0.4179 0.8693 0.6116  2 U 2.15-2.23
O 0.6125 0.1679 0.1372  1 U 2.07
O 0.9179 0.6307 0.3884  2 U 2.15-2.23
O 0.4179 0.6307 0.1116  2 U 2.15-2.23
O 0.5673 0.8783 0.3713  2 U 2.14-2.18
O 0.1596 0.9750 0.9330  1 U 1.96
O 0.1596 0.5250 0.4330  1 U 1.96
O 0.1125 0.1679 0.3628  1 U 2.07
O 0.9327 0.1217 0.8713  2 U 2.14-2.18
Sr 0.2571 0.2385 0.5198  7 O 2.50-2.77
Sr 0.0000 0.0000 0.5000  8 O 2.65-2.97
Sr 0.2429 0.7385 0.5198  7 O 2.50-2.77
Sr 0.5000 0.0000 0.0000  8 O 2.65-2.97
Sr 0.0000 0.5000 0.0000  8 O 2.65-2.97
Sr 0.2761 0.5042 0.2507  7 O 2.46-2.66
Sr 0.7429 0.7615 0.4802  7 O 2.50-2.77
Sr 0.7571 0.2385 0.9802  7 O 2.50-2.77
Sr 0.2761 0.9958 0.7507  7 O 2.46-2.66
Sr 0.7761 0.9958 0.7493  7 O 2.46-2.66
Sr 0.7571 0.2615 0.4802  7 O 2.50-2.77
Sr 0.2239 0.4958 0.7507  7 O 2.46-2.66
Sr 0.5000 0.5000 0.5000  8 O 2.65-2.97
Sr 0.2429 0.7615 0.0198  7 O 2.50-2.77
Sr 0.7239 0.0042 0.2493  7 O 2.46-2.66
Sr 0.7239 0.4958 0.7493  7 O 2.46-2.66
Sr 0.7429 0.7385 0.9802  7 O 2.50-2.77
Sr 0.7761 0.5042 0.2493  7 O 2.46-2.66
Sr 0.2571 0.2615 0.0198  7 O 2.50-2.77
Sr 0.2239 0.0042 0.2507  7 O 2.46-2.66
U 0.4989 0.7484 0.7440  6 O 2.04-2.23
U 0.4989 0.7516 0.2440  6 O 2.04-2.23
U 0.5000 0.5000 0.0000  6 O 1.96-2.15
U 0.5011 0.2516 0.2560  6 O 2.04-2.23
U 0.9989 0.7516 0.2560  6 O 2.04-2.23
U 0.0000 0.5000 0.5000  6 O 1.96-2.15
U 0.5000 0.0000 0.5000  6 O 1.96-2.15
U 0.0000 0.0000 0.0000  6 O 1.96-2.15
U 0.9989 0.7484 0.7560  6 O 2.04-2.23
U 0.0011 0.2484 0.7440  6 O 2.04-2.23
U 0.5011 0.2484 0.7560  6 O 2.04-2.23
U 0.0011 0.2516 0.2440  6 O 2.04-2.23

No. 3
## S7N (PBE)

Data for a relaxed S7N crystal.

Calculated values
Formation energy   0.191 eV/atom
Space group   No. 62
DFT total energy   -4.426 eV per atom
Theoretical density   1.63 g cm⁻³

abc: 8.1341 8.6553 13.8308
angles: 90.00 90.00 90.00
With the nearest neighbours (Å) after each atom.
Positions (direct):
S 0.2547 0.1802 0.1408  1 N 1.61
S 0.7453 0.8198 0.6408  1 N 1.61
S 0.9930 0.2756 0.5905  2 S 2.07-2.10
S 0.4930 0.2244 0.0905  2 S 2.07-2.10
S 0.2453 0.6802 0.3592  1 N 1.61
S 0.4930 0.2244 0.4095  2 S 2.07-2.10
S 0.3476 0.9506 0.8697  2 S 2.05-2.07
S 0.0070 0.7244 0.0905  2 S 2.07-2.10
S 0.7774 0.1258 0.2500  2 S 2.05
S 0.5070 0.7756 0.9095  2 S 2.07-2.10
S 0.9930 0.2756 0.9095  2 S 2.07-2.10
S 0.7547 0.3198 0.6408  1 N 1.61
S 0.2226 0.8742 0.7500  2 S 2.05
S 0.8476 0.5494 0.3697  2 S 2.05-2.07
S 0.5070 0.7756 0.5905  2 S 2.07-2.10
S 0.6524 0.0494 0.1303  2 S 2.05-2.07
S 0.1524 0.4506 0.6303  2 S 2.05-2.07
S 0.3476 0.9506 0.6303  2 S 2.05-2.07
S 0.7453 0.8198 0.8592  1 N 1.61
S 0.8476 0.5494 0.1303  2 S 2.05-2.07
S 0.0070 0.7244 0.4095  2 S 2.07-2.10
S 0.6524 0.0494 0.3697  2 S 2.05-2.07
S 0.2774 0.3742 0.7500  2 S 2.05
S 0.2453 0.6802 0.1408  1 N 1.61
S 0.2547 0.1802 0.3592  1 N 1.61
S 0.1524 0.4506 0.8697  2 S 2.05-2.07
S 0.7547 0.3198 0.8592  1 N 1.61
S 0.7226 0.6258 0.2500  2 S 2.05
N 0.2111 0.2296 0.2500  2 S 1.61
N 0.7889 0.7704 0.7500  2 S 1.61
N 0.7111 0.2704 0.7500  2 S 1.61
N 0.2889 0.7296 0.2500  2 S 1.61

No. 4
## CuF2 (PBE)

Data for a relaxed CuF2 crystal.

Calculated values
Formation energy   -1.702 eV/atom
Spin magnetization   0.091 μB per atom
Space group   No. 123
DFT total energy   -4.037 eV per atom
Theoretical density   3.33 g cm⁻³

abc: 3.7470 3.7470 3.6073
angles: 90.00 90.00 90.00
With the nearest neighbours (Å) after each atom.
Positions (direct):
Cu 0.0000 0.0000 0.0000  4 F 1.87
F 0.5000 0.0000 0.0000  2 Cu 1.87
F 0.0000 0.5000 0.0000  2 Cu 1.87